## P
Li7V3P8O29 after structural relaxation. Source: the Materials Project, functional GGA+U.

Geometry as CIF:
```
data_Li7V3P8O29
_chemical_formula_sum 'Li14 V6 P16 O58'
_cell_length_a 9.8350
_cell_length_b 9.8605
_cell_length_c 13.8697
_cell_angle_alpha 89.79
_cell_angle_beta 89.90
_cell_angle_gamma 60.11
_space_group_name_H-M_alt 'P 1'
_space_group_IT_number 1
_space_group_name_Hall 'P 1'
loop_
_atom_site_label
_atom_site_fract_x
_atom_site_fract_y
_atom_site_fract_z
_atom_site_occupancy
Li1 0.0000 0.0000 0.0000 1
Li2 0.0036 0.4404 0.4950 1
Li3 0.1332 0.4501 0.0027 1
Li4 0.1413 0.8673 0.4956 1
Li5 0.2272 0.6750 0.1229 1
Li6 0.2321 0.1077 0.6779 1
Li7 0.2446 0.5351 0.6187 1
Li8 0.5743 0.0030 0.4938 1
Li9 0.5823 0.8640 0.0022 1
Li10 0.6715 0.6664 0.6209 1
Li11 0.6778 0.0930 0.1233 1
Li12 0.8055 0.1071 0.6214 1
Li13 0.8140 0.5419 0.1205 1
Li14 0.9101 0.7649 0.5560 1
V1 0.3407 0.7690 0.3096 1
V2 0.3425 0.3362 0.8104 1
V3 0.4721 0.2036 0.3104 1
V4 0.4760 0.7672 0.8131 1
V5 0.9050 0.2040 0.8110 1
V6 0.9051 0.3345 0.3099 1
P1 0.1337 0.8587 0.7159 1
P2 0.1357 0.4514 0.2180 1
P3 0.2205 0.5441 0.4019 1
P4 0.2241 0.6828 0.9025 1
P5 0.2366 0.1023 0.4353 1
P6 0.2434 0.1009 0.9333 1
P7 0.5718 0.4375 0.6858 1
P8 0.5746 0.4369 0.1873 1
P9 0.5885 0.8565 0.2182 1
P10 0.5901 0.9960 0.7187 1
P11 0.6745 0.0873 0.9051 1
P12 0.6796 0.6815 0.4036 1
P13 0.8190 0.5375 0.9028 1
P14 0.8207 0.0827 0.4041 1
P15 0.9959 0.0006 0.2191 1
P16 0.9969 0.4560 0.7163 1
O1 0.0099 0.1472 0.2363 1
O2 0.0160 0.2921 0.7252 1
O3 0.0905 0.2574 0.3948 1
O4 0.0984 0.0946 0.8938 1
O5 0.1131 0.5643 0.3097 1
O6 0.1165 0.7711 0.8100 1
O7 0.1244 0.5563 0.4918 1
O8 0.1381 0.7657 0.6277 1
O9 0.1451 0.5330 0.1282 1
O10 0.1497 0.7731 0.9928 1
O11 0.1603 0.4422 0.7167 1
O12 0.1597 0.8516 0.2182 1
O13 0.2264 0.9584 0.3974 1
O14 0.2274 0.1075 0.5445 1
O15 0.2395 0.2536 0.8883 1
O16 0.2404 0.6917 0.3989 1
O17 0.2410 0.5195 0.9030 1
O18 0.2500 0.1028 0.0405 1
O19 0.2795 0.2922 0.2355 1
O20 0.2817 0.8740 0.7288 1
O21 0.3764 0.3948 0.3947 1
O22 0.3842 0.6730 0.8820 1
O23 0.3913 0.0921 0.4007 1
O24 0.3976 0.9555 0.8912 1
O25 0.4177 0.4414 0.7291 1
O26 0.4214 0.5832 0.2291 1
O27 0.4259 0.1437 0.7287 1
O28 0.4278 0.8672 0.2394 1
O29 0.5269 0.2468 0.8859 1
O30 0.5273 0.6780 0.3917 1
O31 0.5585 0.4474 0.5783 1
O32 0.5689 0.8498 0.7185 1
O33 0.5739 0.0177 0.2160 1
O34 0.5785 0.4488 0.0800 1
O35 0.5803 0.5810 0.7280 1
O36 0.5833 0.2834 0.2234 1
O37 0.6550 0.6899 0.9010 1
O38 0.6574 0.0103 0.9943 1
O39 0.6574 0.0999 0.4044 1
O40 0.6614 0.7626 0.1286 1
O41 0.6780 0.9957 0.6286 1
O42 0.6833 0.7695 0.4933 1
O43 0.6940 0.9779 0.8112 1
O44 0.6987 0.7691 0.3104 1
O45 0.7152 0.2830 0.7224 1
O46 0.7233 0.4406 0.2329 1
O47 0.8030 0.3936 0.8882 1
O48 0.8167 0.2394 0.3928 1
O49 0.8235 0.0988 0.9054 1
O50 0.8254 0.5173 0.4037 1
O51 0.9056 0.0130 0.1287 1
O52 0.9061 0.5482 0.6276 1
O53 0.9074 0.5587 0.8095 1
O54 0.9081 0.5329 0.9918 1
O55 0.9084 0.9764 0.3108 1
O56 0.9102 0.9925 0.4940 1
O57 0.9847 0.4397 0.2188 1
O58 0.9867 0.0210 0.7145 1
```

Summary:
Total magnetic moment = 0.0851 μB/atom

## Q
Li7V3P8O29 after structural relaxation. Source: the Materials Project, functional GGA+U.

Geometry as CIF:
```
data_Li7V3P8O29
_chemical_formula_sum 'Li14 V6 P16 O58'
_cell_length_a 9.8373
_cell_length_b 9.8824
_cell_length_c 13.9050
_cell_angle_alpha 90.05
_cell_angle_beta 90.16
_cell_angle_gamma 119.69
_space_group_name_H-M_alt 'P 1'
_space_group_IT_number 1
_space_group_name_Hall 'P 1'
loop_
_atom_site_label
_atom_site_fract_x
_atom_site_fract_y
_atom_site_fract_z
_atom_site_occupancy
Li1 0.0000 0.0000 0.0000 1
Li2 0.0035 0.9940 0.5052 1
Li3 0.0158 0.4397 0.9496 1
Li4 0.0206 0.5739 0.4524 1
Li5 0.1144 0.3516 0.3256 1
Li6 0.2480 0.3409 0.8255 1
Li7 0.2535 0.8935 0.3285 1
Li8 0.3622 0.7092 0.8788 1
Li9 0.4344 0.4433 0.4486 1
Li10 0.4405 0.9979 0.9485 1
Li11 0.5695 0.9887 0.4502 1
Li12 0.5747 0.5727 0.9476 1
Li13 0.6524 0.7556 0.3281 1
Li14 0.6793 0.3399 0.7715 1
V1 0.3423 0.2319 0.6376 1
V2 0.3429 0.0977 0.1388 1
V3 0.7732 0.6645 0.1381 1
V4 0.7770 0.0989 0.6414 1
V5 0.9065 0.2343 0.1371 1
V6 0.9102 0.6688 0.6420 1
P1 0.0092 0.9991 0.2617 1
P2 0.0152 0.0070 0.7611 1
P3 0.0241 0.4381 0.7309 1
P4 0.0253 0.5844 0.2327 1
P5 0.1096 0.3440 0.5442 1
P6 0.1179 0.7561 0.0465 1
P7 0.2519 0.3481 0.0436 1
P8 0.2518 0.8984 0.5463 1
P9 0.4282 0.4323 0.2285 1
P10 0.4330 0.9843 0.7317 1
P11 0.5657 0.5752 0.7330 1
P12 0.5770 0.9895 0.2324 1
P13 0.6527 0.8898 0.0471 1
P14 0.6623 0.7570 0.5472 1
P15 0.6722 0.3337 0.0126 1
P16 0.6755 0.3307 0.5149 1
O1 0.0087 0.5826 0.7293 1
O2 0.0108 0.4240 0.2316 1
O3 0.0107 0.9942 0.3700 1
O4 0.0133 0.8627 0.7218 1
O5 0.0147 0.1505 0.2245 1
O6 0.0188 0.0242 0.8681 1
O7 0.0908 0.3357 0.0429 1
O8 0.0922 0.6735 0.3246 1
O9 0.0934 0.7494 0.5430 1
O10 0.0954 0.4241 0.4558 1
O11 0.1102 0.4298 0.8194 1
O12 0.1263 0.4469 0.6375 1
O13 0.1296 0.6646 0.9647 1
O14 0.1385 0.6823 0.1456 1
O15 0.1566 0.9921 0.2221 1
O16 0.1643 0.1583 0.7200 1
O17 0.2258 0.0402 0.5630 1
O18 0.2333 0.1847 0.0591 1
O19 0.2608 0.3328 0.5424 1
O20 0.2607 0.9258 0.0473 1
O21 0.3400 0.4196 0.3190 1
O22 0.3397 0.4533 0.1377 1
O23 0.3402 0.8818 0.6390 1
O24 0.3464 0.4328 0.9561 1
O25 0.3494 0.9220 0.4579 1
O26 0.3533 0.8993 0.8220 1
O27 0.4166 0.4126 0.7262 1
O28 0.4222 0.9969 0.2276 1
O29 0.4377 0.2830 0.2086 1
O30 0.4435 0.1463 0.7205 1
O31 0.5229 0.3261 0.5613 1
O32 0.5289 0.1799 0.0527 1
O33 0.5455 0.8750 0.9658 1
O34 0.5559 0.6566 0.8219 1
O35 0.5575 0.6670 0.6389 1
O36 0.5601 0.8736 0.1455 1
O37 0.5828 0.6636 0.4578 1
O38 0.5837 0.9106 0.3237 1
O39 0.5922 0.5793 0.2294 1
O40 0.5981 0.0076 0.7250 1
O41 0.6569 0.3197 0.4086 1
O42 0.6628 0.3318 0.9043 1
O43 0.6638 0.4788 0.0523 1
O44 0.6704 0.9171 0.5468 1
O45 0.6768 0.7439 0.0496 1
O46 0.6799 0.1840 0.5578 1
O47 0.7103 0.5550 0.7233 1
O48 0.7174 0.1485 0.2145 1
O49 0.8154 0.0348 0.0518 1
O50 0.8220 0.4795 0.5524 1
O51 0.8274 0.3440 0.0476 1
O52 0.8288 0.7833 0.5613 1
O53 0.8559 0.8515 0.2222 1
O54 0.8593 0.2911 0.7191 1
O55 0.8653 0.5734 0.2074 1
O56 0.8701 0.0144 0.7165 1
O57 0.9676 0.1790 0.5581 1
O58 0.9681 0.7696 0.0550 1
```

Summary:
Total magnetic moment = 0.0851 μB/atom

## R
Li7V3P8O29 after structural relaxation. Source: the Materials Project, functional GGA+U.

Geometry as CIF:
```
data_Li7V3P8O29
_chemical_formula_sum 'Li14 V6 P16 O58'
_cell_length_a 9.8079
_cell_length_b 9.8112
_cell_length_c 13.8851
_cell_angle_alpha 90.05
_cell_angle_beta 90.05
_cell_angle_gamma 119.75
_space_group_name_H-M_alt 'P 1'
_space_group_IT_number 1
_space_group_name_Hall 'P 1'
loop_
_atom_site_label
_atom_site_fract_x
_atom_site_fract_y
_atom_site_fract_z
_atom_site_occupancy
Li1 0.0000 0.0000 0.0000 1
Li2 0.0005 0.5646 0.5070 1
Li3 0.1329 0.1344 0.5051 1
Li4 0.1377 0.5655 0.0016 1
Li5 0.2406 0.9012 0.9317 1
Li6 0.2544 0.8655 0.4389 1
Li7 0.3335 0.2362 0.8756 1
Li8 0.4682 0.2237 0.3817 1
Li9 0.4735 0.7979 0.8801 1
Li10 0.5563 0.5635 0.5579 1
Li11 0.5689 0.1387 0.9999 1
Li12 0.5779 0.0056 0.5024 1
Li13 0.9008 0.6659 0.8769 1
Li14 0.9095 0.8079 0.3811 1
V1 0.2342 0.3387 0.6922 1
V2 0.2363 0.4676 0.1943 1
V3 0.6710 0.9027 0.6926 1
V4 0.6740 0.3405 0.1913 1
V5 0.7989 0.9020 0.1923 1
V6 0.8005 0.4662 0.6931 1
P1 0.0101 0.5888 0.2837 1
P2 0.0096 0.9870 0.7849 1
P3 0.1480 0.1273 0.2840 1
P4 0.1515 0.5918 0.7884 1
P5 0.3217 0.2139 0.0985 1
P6 0.3247 0.6835 0.5999 1
P7 0.4601 0.2170 0.5979 1
P8 0.4602 0.8148 0.1016 1
P9 0.5469 0.1260 0.7854 1
P10 0.5479 0.9903 0.2871 1
P11 0.5696 0.5669 0.3124 1
P12 0.5701 0.5726 0.8155 1
P13 0.8985 0.2298 0.5676 1
P14 0.9040 0.2379 0.0725 1
P15 0.9191 0.8115 0.5977 1
P16 0.9214 0.6768 0.0991 1
O1 0.0014 0.9046 0.5081 1
O2 0.0116 0.6782 0.0103 1
O3 0.0131 0.8973 0.8741 1
O4 0.0158 0.6790 0.3737 1
O5 0.0262 0.8995 0.6903 1
O6 0.0293 0.6995 0.1923 1
O7 0.0450 0.2242 0.6049 1
O8 0.0471 0.3914 0.1133 1
O9 0.1432 0.4335 0.7776 1
O10 0.1436 0.2797 0.2734 1
O11 0.1507 0.5613 0.2779 1
O12 0.1541 0.1507 0.7856 1
O13 0.2250 0.6904 0.5193 1
O14 0.2329 0.1247 0.0092 1
O15 0.2336 0.1218 0.3733 1
O16 0.2361 0.1056 0.1916 1
O17 0.2390 0.6829 0.8792 1
O18 0.2493 0.7023 0.6991 1
O19 0.3107 0.2299 0.5958 1
O20 0.3172 0.6477 0.1006 1
O21 0.3213 0.3693 0.1125 1
O22 0.3392 0.5344 0.6043 1
O23 0.4277 0.4173 0.7769 1
O24 0.4279 0.5700 0.2659 1
O25 0.4390 0.9004 0.1943 1
O26 0.4428 0.1102 0.6909 1
O27 0.4494 0.1172 0.8741 1
O28 0.4601 0.9109 0.3775 1
O29 0.4611 0.9040 0.0121 1
O30 0.4686 0.1296 0.5096 1
O31 0.4891 0.2383 0.0978 1
O32 0.4916 0.8281 0.5967 1
O33 0.5601 0.7155 0.7665 1
O34 0.5645 0.9783 0.7857 1
O35 0.5662 0.4139 0.2710 1
O36 0.5672 0.5579 0.4203 1
O37 0.5674 0.5904 0.9227 1
O38 0.5724 0.1577 0.2818 1
O39 0.6034 0.3825 0.6096 1
O40 0.6153 0.8118 0.1146 1
O41 0.7030 0.2767 0.7780 1
O42 0.7027 0.9889 0.2726 1
O43 0.7245 0.7124 0.2757 1
O44 0.7254 0.5836 0.7785 1
O45 0.7490 0.0846 0.6181 1
O46 0.7491 0.2311 0.1138 1
O47 0.7538 0.7943 0.6108 1
O48 0.7636 0.5248 0.1105 1
O49 0.8545 0.9886 0.7757 1
O50 0.8554 0.4330 0.2734 1
O51 0.8747 0.2062 0.4609 1
O52 0.8981 0.8219 0.0999 1
O53 0.9021 0.2385 0.9650 1
O54 0.9030 0.6486 0.5951 1
O55 0.9055 0.3832 0.6041 1
O56 0.9103 0.0912 0.1127 1
O57 0.9800 0.9817 0.2808 1
O58 0.9886 0.5770 0.7856 1
```

Summary:
Total magnetic moment = 0.0851 μB/atom

It is R that is the least stable of them.